(1)
Below is a relaxed Li4FeCo3O8 crystal, with properties calculated at the PBE with a Hubbard U level.

**Total magnetic moment**: 1.061 μB/atom

a b c (Å): 5.8652 5.8652 5.8652
angles (deg): 59.08 59.08 59.08
Last column: nearest neighbours and their distance in Å.
Fractional positions:
Li1 0.0000 0.0000 0.5000  6 O 2.12-2.13
Li2 0.5000 0.5000 0.5000  6 O 2.15
Li3 0.0000 0.5000 0.0000  6 O 2.12-2.13
Li4 0.5000 0.0000 0.0000  6 O 2.12-2.13
Co1 0.0000 0.5000 0.5000  6 O 1.99-2.00
Co2 0.5000 0.0000 0.5000  6 O 1.99-2.00
Co3 0.5000 0.5000 0.0000  6 O 1.99-2.00
O1 0.2575 0.2575 0.2575  3 Co 2.00, 3 Li 2.12
O2 0.2391 0.7442 0.2391  1 Fe 1.97, 2 Co 1.99, 3 Li 2.13-2.15
O3 0.7609 0.2558 0.7609  1 Fe 1.97, 2 Co 1.99, 3 Li 2.13-2.15
O4 0.7425 0.7425 0.7425  3 Co 2.00, 3 Li 2.12
O5 0.2558 0.7609 0.7609  1 Fe 1.97, 2 Co 1.99, 3 Li 2.13-2.15
O6 0.7442 0.2391 0.2391  1 Fe 1.97, 2 Co 1.99, 3 Li 2.13-2.15
O7 0.2391 0.2391 0.7442  1 Fe 1.97, 2 Co 1.99, 3 Li 2.13-2.15
O8 0.7609 0.7609 0.2558  1 Fe 1.97, 2 Co 1.99, 3 Li 2.13-2.15
Fe1 0.0000 0.0000 0.0000  6 O 1.97

***

(2)
Below is a relaxed Li4FeCo3O8 crystal, with properties calculated at the PBE with a Hubbard U level.

a b c (Å): 5.0798 5.5403 6.4068
angles (deg): 89.73 89.97 89.68
Last column: nearest neighbours and their distance in Å.
Fractional positions:
Fe1 0.4978 0.9218 0.8742  4 O 1.90-1.91
Li1 0.4954 0.4174 0.1251  4 O 1.99-2.04
Li2 0.9972 0.0826 0.6235  4 O 2.00-2.02
Li3 0.9964 0.5814 0.8753  4 O 2.00-2.01
Li4 0.4960 0.9180 0.3753  4 O 1.97-2.02
O1 0.3677 0.5765 0.3859  2 Co 1.88, 2 Li 2.00
O2 0.8934 0.9038 0.3636  2 Co 1.87, 2 Li 2.01-2.02
O3 0.8664 0.4246 0.6130  2 Co 1.87-1.89, 2 Li 2.01
O4 0.8964 0.4046 0.1370  2 Co 1.87-1.88, 2 Li 2.00-2.04
O5 0.3706 0.0767 0.1186  1 Co 1.89, 1 Fe 1.90, 2 Li 1.97-1.99
O6 0.3935 0.0953 0.6294  1 Co 1.87, 1 Fe 1.91, 2 Li 1.97-2.02
O7 0.8741 0.9265 0.8882  1 Co 1.88, 1 Fe 1.91, 2 Li 2.00-2.01
O8 0.3905 0.5919 0.8613  1 Co 1.86, 1 Fe 1.91, 2 Li 2.01
Co1 0.9972 0.5792 0.3747  4 O 1.87-1.88
Co2 0.9997 0.0811 0.1288  4 O 1.87-1.89
Co3 0.4943 0.4185 0.6262  4 O 1.86-1.89

***

The data favor (2); the next most stable structure lies 26 meV per atom above it.